Record 1
This record from the Materials Project describes crystalline CrH12C8S2N2O2 at its relaxed geometry. The functional is GGA+U.

Values from the calculation:
**ΔE_f**: -9.03 eV per formula unit

```
data_CrH12C8S2N2O2
_space_group_name_H-M_alt 'P -1'
_space_group_IT_number 2
_cell_length_a 5.949
_cell_length_b 8.110
_cell_length_c 8.146
_cell_angle_alpha 105.17
_cell_angle_beta 98.05
_cell_angle_gamma 96.48
loop_
_space_group_symop_operation_xyz
'x,y,z'
'-x,-y,-z'
loop_
_atom_site_label
_atom_site_fract_x
_atom_site_fract_y
_atom_site_fract_z
_atom_site_occupancy
Cr1 0.000 0.000 0.000 1
H1 0.039 0.749 0.504 1
H2 0.074 0.558 0.351 1
H3 0.190 0.353 0.674 1
H4 0.395 0.676 0.186 1
H5 0.433 0.906 0.232 1
H6 0.446 0.801 0.403 1
C1 0.003 0.323 0.635 1
C2 0.106 0.784 0.265 1
C3 0.360 0.796 0.273 1
C4 0.388 0.802 0.832 1
S1 0.392 0.275 0.237 1
N1 0.226 0.859 0.881 1
O1 0.016 0.143 0.822 1
```

Record 2
This record from the Materials Project describes crystalline Na3CrH10C6O17 at its relaxed geometry. The functional is GGA+U.

Values from the calculation:
**ΔE_f**: -58.83 eV per formula unit

```
data_Na3CrH10C6O17
_space_group_name_H-M_alt 'C 1 2/c 1'
_space_group_IT_number 15
_cell_length_a 17.621
_cell_length_b 12.731
_cell_length_c 15.311
_cell_angle_alpha 90.00
_cell_angle_beta 100.23
_cell_angle_gamma 90.00
loop_
_space_group_symop_operation_xyz
'x,y,z'
'-x,-y,-z'
'-x,y,-z+1/2'
'x,-y,z+1/2'
'x+1/2,y+1/2,z'
'-x+1/2,-y+1/2,-z'
'-x+1/2,y+1/2,-z+1/2'
'x+1/2,-y+1/2,z+1/2'
loop_
_atom_site_label
_atom_site_fract_x
_atom_site_fract_y
_atom_site_fract_z
_atom_site_occupancy
Na1 0.000 0.003 0.250 1
Na2 0.000 0.270 0.750 1
Na3 0.043 0.385 0.000 1
Na4 0.119 0.128 0.014 1
Cr1 0.192 0.366 0.232 1
H1 0.033 0.185 0.450 1
H2 0.041 0.187 0.555 1
H3 0.089 0.401 0.408 1
H4 0.128 0.404 0.506 1
H5 0.164 0.321 0.917 1
H6 0.213 0.332 0.013 1
H7 0.221 0.298 0.610 1
H8 0.222 0.419 0.628 1
H9 0.230 0.051 0.497 1
H10 0.239 0.005 0.593 1
C1 0.085 0.470 0.684 1
C2 0.103 0.212 0.297 1
C3 0.126 0.166 0.211 1
C4 0.140 0.433 0.769 1
C5 0.148 0.156 0.715 1
C6 0.160 0.113 0.812 1
O1 0.005 0.200 0.498 1
O2 0.030 0.413 0.650 1
O3 0.065 0.158 0.341 1
O4 0.081 0.165 0.672 1
O5 0.084 0.434 0.464 1
O6 0.102 0.440 0.154 1
O7 0.103 0.079 0.182 1
O8 0.104 0.103 0.850 1
O9 0.125 0.308 0.314 1
O10 0.127 0.350 0.807 1
O11 0.167 0.299 0.980 1
O12 0.169 0.227 0.173 1
O13 0.199 0.494 0.794 1
O14 0.210 0.001 0.033 1
O15 0.211 0.182 0.687 1
O16 0.218 0.367 0.580 1
O17 0.232 0.095 0.846 1
```

Record 3
This record from the Materials Project describes crystalline Cr3P2H40C16O10 at its relaxed geometry. The functional is GGA+U.

Values from the calculation:
**ΔE_f**: -33.33 eV per formula unit

```
data_Cr3P2H40C16O10
_space_group_name_H-M_alt 'P 1 21/c 1'
_space_group_IT_number 14
_cell_length_a 15.318
_cell_length_b 14.949
_cell_length_c 14.920
_cell_angle_alpha 90.00
_cell_angle_beta 97.01
_cell_angle_gamma 90.00
loop_
_space_group_symop_operation_xyz
'x,y,z'
'-x,-y,-z'
'-x,y+1/2,-z+1/2'
'x,-y+1/2,z+1/2'
loop_
_atom_site_label
_atom_site_fract_x
_atom_site_fract_y
_atom_site_fract_z
_atom_site_occupancy
Cr1 0.087 0.062 0.281 1
Cr2 0.250 0.044 0.158 1
Cr3 0.369 0.613 0.775 1
P1 0.068 0.745 0.986 1
P2 0.418 0.247 0.439 1
H1 0.007 0.122 0.062 1
H2 0.012 0.158 0.858 1
H3 0.016 0.599 0.952 1
H4 0.051 0.183 0.687 1
H5 0.052 0.158 0.480 1
H6 0.064 0.070 0.922 1
H7 0.080 0.603 0.524 1
H8 0.084 0.729 0.333 1
H9 0.087 0.705 0.139 1
H10 0.100 0.182 0.943 1
H11 0.120 0.244 0.621 1
H12 0.131 0.126 0.633 1
H13 0.138 0.564 0.066 1
H14 0.158 0.687 0.880 1
H15 0.180 0.608 0.408 1
H16 0.180 0.737 0.610 1
H17 0.218 0.607 0.151 1
H18 0.231 0.622 0.036 1
H19 0.240 0.679 0.342 1
H20 0.252 0.096 0.811 1
H21 0.254 0.689 0.461 1
H22 0.258 0.132 0.481 1
H23 0.265 0.238 0.896 1
H24 0.309 0.147 0.964 1
H25 0.315 0.066 0.568 1
H26 0.320 0.171 0.759 1
H27 0.341 0.055 0.457 1
H28 0.368 0.080 0.824 1
H29 0.373 0.221 0.582 1
H30 0.391 0.149 0.314 1
H31 0.413 0.655 0.106 1
H32 0.434 0.727 0.508 1
H33 0.435 0.588 0.420 1
H34 0.449 0.076 0.054 1
H35 0.456 0.146 0.560 1
H36 0.461 0.586 0.195 1
H37 0.466 0.236 0.296 1
H38 0.479 0.640 0.579 1
H39 0.487 0.568 0.084 1
H40 0.494 0.166 0.123 1
C1 0.018 0.163 0.541 1
C2 0.023 0.646 0.504 1
C3 0.042 0.140 0.926 1
C4 0.083 0.181 0.625 1
C5 0.132 0.746 0.392 1
C6 0.134 0.709 0.088 1
C7 0.183 0.620 0.084 1
C8 0.206 0.676 0.402 1
C9 0.316 0.131 0.820 1
C10 0.319 0.188 0.905 1
C11 0.323 0.104 0.507 1
C12 0.393 0.175 0.531 1
C13 0.449 0.185 0.345 1
C14 0.473 0.620 0.133 1
C15 0.490 0.681 0.520 1
C16 0.497 0.625 0.436 1
O1 0.018 0.555 0.253 1
O2 0.114 0.164 0.310 1
O3 0.116 0.507 0.864 1
O4 0.143 0.029 0.183 1
O5 0.259 0.503 0.562 1
O6 0.273 0.149 0.152 1
O7 0.313 0.690 0.716 1
O8 0.324 0.502 0.743 1
O9 0.363 0.627 0.883 1
O10 0.472 0.614 0.756 1
```

Let's list uncorrected energy in order: -6.062 -6.275 -5.537 eV/atom.